CaMnSe2 | PBE-GGA | relaxed

The structure in extended XYZ format:
```
4
Lattice="2.022 1.168 6.528 -2.022 1.168 6.528 0.000 -2.335 6.528" Properties=species:S:1:pos:R:3 pbc="T T T"
Ca 0.000 0.000 0.000
Mn 0.000 0.000 9.792
Se 0.000 0.000 4.737
Se 0.000 0.000 14.848
```

## Properties
VASP energy: -5.697 eV per atom
calculated formation energy: -1.39 eV/atom
theoretical density: 4.54 g cm⁻³